Record 1
TiInRh2: optimized geometry, meta-GGA r2SCAN.

Lattice parameters (Å, degrees): 4.451 4.451 4.451 60.00 60.00 60.00
Atoms (fractional coordinates):
Ti 0.500 0.500 0.500
In 0.000 0.000 0.000
Rh 0.750 0.750 0.750
Rh 0.250 0.250 0.250

Output
As for the energy relative to the elements: -0.7339 eV per atom. The theoretical density is 9.817 g/cm3. The symmetry is Fm-3m, No. 225.



Record 2
TmInRh2: optimized geometry, meta-GGA r2SCAN.

Lattice parameters (Å, degrees): 4.626 4.626 4.626 60.00 60.00 60.00
Atoms (fractional coordinates):
Tm 0.500 0.500 0.500
In 0.000 0.000 0.000
Rh 0.750 0.750 0.750
Rh 0.250 0.250 0.250

Output
As for the energy relative to the elements: -0.8944 eV per atom. The theoretical density is 11.615 g/cm3. The symmetry is Fm-3m, No. 225.



Record 3
TmInRh: optimized geometry, meta-GGA r2SCAN.

Lattice parameters (Å, degrees): 7.411 7.411 3.882 90.00 90.00 120.00
Atoms (fractional coordinates):
Tm 0.000 0.405 0.500
Tm 0.595 0.595 0.500
Tm 0.405 0.000 0.500
In 0.258 0.258 0.000
In 0.000 0.742 0.000
In 0.742 0.000 0.000
Rh 0.333 0.667 0.000
Rh 0.000 0.000 0.500
Rh 0.667 0.333 0.000

Output
As for the energy relative to the elements: -0.8479 eV per atom. The theoretical density is 10.431 g/cm3. The symmetry is P-62m, No. 189.



Record 4
YInRh: optimized geometry, meta-GGA r2SCAN.

Lattice parameters (Å, degrees): 7.472 7.472 3.944 90.00 90.00 120.00
Atoms (fractional coordinates):
Y 0.000 0.593 0.500
Y 0.407 0.407 0.500
Y 0.593 0.000 0.500
In 0.000 0.255 0.000
In 0.255 0.000 0.000
In 0.745 0.745 0.000
Rh 0.333 0.667 0.000
Rh 0.000 0.000 0.500
Rh 0.667 0.333 0.000

Output
As for the energy relative to the elements: -0.8341 eV per atom. The theoretical density is 8.012 g/cm3. The symmetry is P-62m, No. 189.



Record 5
YIn5Rh: optimized geometry, meta-GGA r2SCAN.

Lattice parameters (Å, degrees): 4.638 4.638 7.443 90.00 90.00 90.00
Atoms (fractional coordinates):
Y 0.000 0.000 0.000
In 0.000 0.500 0.301
In 0.000 0.500 0.699
In 0.500 0.000 0.301
In 0.500 0.000 0.699
In 0.500 0.500 0.000
Rh 0.000 0.000 0.500

Output
As for the energy relative to the elements: -0.5353 eV per atom. The theoretical density is 7.944 g/cm3. The symmetry is P4/mmm, No. 123.



Record 6
YbInRh2: optimized geometry, meta-GGA r2SCAN.

Lattice parameters (Å, degrees): 4.615 4.615 4.615 60.00 60.00 60.00
Atoms (fractional coordinates):
Yb 0.000 0.000 0.000
In 0.500 0.500 0.500
Rh 0.250 0.250 0.250
Rh 0.750 0.750 0.750

Output
As for the energy relative to the elements: -0.9149 eV per atom. The theoretical density is 11.795 g/cm3. The symmetry is Fm-3m, No. 225.



Record 7
ThInRu2: optimized geometry, meta-GGA r2SCAN.

Lattice parameters (Å, degrees): 4.773 4.773 4.773 60.00 60.00 60.00
Atoms (fractional coordinates):
Th 0.000 0.000 0.000
In 0.500 0.500 0.500
Ru 0.250 0.250 0.250
Ru 0.750 0.750 0.750

Output
As for the energy relative to the elements: -0.3358 eV per atom. The theoretical density is 11.855 g/cm3. The symmetry is Fm-3m, No. 225.



Record 8
In5S8: optimized geometry, meta-GGA r2SCAN.

Lattice parameters (Å, degrees): 7.603 7.603 7.603 60.00 60.00 60.00
Atoms (fractional coordinates):
In 0.354 0.882 0.882
In 0.882 0.354 0.882
In 0.882 0.882 0.354
In 0.882 0.882 0.882
In 0.500 0.500 0.500
S 0.098 0.634 0.634
S 0.634 0.098 0.634
S 0.634 0.634 0.098
S 0.634 0.634 0.634
S 0.633 0.122 0.122
S 0.122 0.633 0.122
S 0.122 0.122 0.633
S 0.122 0.122 0.122

Output
As for the energy relative to the elements: -0.6208 eV per atom. The theoretical density is 4.438 g/cm3. The symmetry is F-43m, No. 216.